This record from Materials Project describes crystalline La3Si2Cl3O7 at its relaxed geometry. The functional is PBE.

Total moment   0.0 μB per formula unit
DFT total energy   -7.41 eV per atom
Formation energy from the elements   -3.341 eV per atom

Lattice parameters (Å, degrees): 12.2375 5.4083 7.9667 71.08 90.00 90.00
With the nearest neighbours (Å) after each atom.
Atoms (fractional coordinates):
O 0.4962 0.1001 0.6910  1 Si 1.64
O 0.3931 0.5580 0.5019  1 Si 1.62
O 0.4108 0.3582 0.1900  1 Si 1.66
O 0.3817 0.9092 0.1274  1 Si 1.64
O 0.3827 0.3797 0.8611  2 Si 1.65-1.66
O 0.8827 0.6203 0.1389  2 Si 1.65-1.66
O 0.0571 0.4116 0.3039  1 Si 1.66
O 0.8817 0.0908 0.8726  1 Si 1.64
O 0.9108 0.6418 0.8100  1 Si 1.66
O 0.9962 0.8999 0.3090  1 Si 1.64
O 0.7161 0.7311 0.9034  1 Si 1.62
O 0.5571 0.5884 0.6961  1 Si 1.66
O 0.2161 0.2689 0.0966  1 Si 1.62
O 0.8931 0.4420 0.4981  1 Si 1.62
Si 0.8433 0.7840 0.9352  4 O 1.62-1.66
Si 0.3433 0.2160 0.0648  4 O 1.62-1.66
Si 0.9555 0.6084 0.3167  4 O 1.62-1.66
Si 0.4555 0.3916 0.6833  4 O 1.62-1.66
La 0.0056 0.0232 0.5787  4 O 2.45-2.57
La 0.0308 0.2872 0.0296  4 O 2.32-2.59
La 0.5056 0.9768 0.4213  4 O 2.45-2.57
La 0.7522 0.4387 0.7001  4 O 2.35-2.52
La 0.5308 0.7128 0.9704  4 O 2.32-2.59
La 0.2522 0.5613 0.2999  4 O 2.35-2.52
Cl 0.1239 0.4566 0.6646  4 La 2.98-3.26, 3 O 3.07-3.15, 1 Cl 3.27
Cl 0.2533 0.0137 0.5059  3 La 2.88-3.18, 2 O 3.01-3.13
Cl 0.6239 0.5434 0.3354  4 La 2.98-3.26, 3 O 3.07-3.15, 1 Cl 3.27
Cl 0.6297 0.1606 0.0596  4 La 2.99-3.15, 5 O 3.11-3.30, 1 Cl 3.35
Cl 0.1297 0.8394 0.9404  4 La 2.99-3.15, 5 O 3.11-3.30, 1 Cl 3.35
Cl 0.7533 0.9863 0.4941  3 La 2.88-3.18, 2 O 3.01-3.13